Entry 1:
{"formula": "Na30Ca8Nb16Si27S9O144", "functional": "GGA-PBE", "state": "optimized geometry", "energy_ev_per_cell": -1666.1, "crystal_system": "triclinic", "e_form_ev_per_atom": -2.784, "lattice": [[9.1646, 0.0000, 0.0000], [0.0068, 15.9174, 0.0000], [0.0448, 0.0914, 22.8265]], "species": ["Na", "Na", "Na", "Na", "Na", "Na", "Na", "Na", "Na", "Na", "Na", "Na", "Na", "Na", "Na", "Na", "Na", "Na", "Na", "Na", "Na", "Na", "Na", "Na", "Na", "Na", "Na", "Na", "Na", "Na", "Ca", "Ca", "Ca", "Ca", "Ca", "Ca", "Ca", "Ca", "Nb", "Nb", "Nb", "Nb", "Nb", "Nb", "Nb", "Nb", "Nb", "Nb", "Nb", "Nb", "Nb", "Nb", "Nb", "Nb", "Si", "Si", "Si", "Si", "Si", "Si", "Si", "Si", "Si", "Si", "Si", "Si", "Si", "Si", "Si", "Si", "Si", "Si", "Si", "Si", "Si", "Si", "Si", "Si", "Si", "Si", "Si", "S", "S", "S", "S", "S", "S", "S", "S", "S", "O", "O", "O", "O", "O", "O", "O", "O", "O", "O", "O", "O", "O", "O", "O", "O", "O", "O", "O", "O", "O", "O", "O", "O", "O", "O", "O", "O", "O", "O", "O", "O", "O", "O", "O", "O", "O", "O", "O", "O", "O", "O", "O", "O", "O", "O", "O", "O", "O", "O", "O", "O", "O", "O", "O", "O", "O", "O", "O", "O", "O", "O", "O", "O", "O", "O", "O", "O", "O", "O", "O", "O", "O", "O", "O", "O", "O", "O", "O", "O", "O", "O", "O", "O", "O", "O", "O", "O", "O", "O", "O", "O", "O", "O", "O", "O", "O", "O", "O", "O", "O", "O", "O", "O", "O", "O", "O", "O", "O", "O", "O", "O", "O", "O", "O", "O", "O", "O", "O", "O", "O", "O", "O", "O", "O", "O", "O", "O", "O", "O", "O", "O", "O", "O", "O", "O", "O", "O", "O", "O", "O", "O", "O", "O"], "fractional_positions": [[0.0000, 0.0000, 0.0000], [0.0001, 0.3240, 0.3230], [0.0232, 0.6991, 0.3315], [0.1225, 0.1976, 0.8290], [0.1420, 0.5212, 0.1464], [0.1447, 0.8239, 0.8195], [0.1649, 0.1705, 0.1489], [0.1968, 0.5213, 0.8231], [0.3125, 0.3404, 0.9155], [0.3148, 0.6862, 0.2444], [0.3230, 0.3489, 0.4119], [0.3248, 0.0146, 0.5771], [0.3329, 0.6876, 0.7450], [0.3498, 0.0081, 0.0717], [0.4516, 0.5224, 0.3238], [0.5042, 0.8223, 0.3225], [0.5050, 0.5210, 0.6478], [0.5214, 0.1983, 0.3217], [0.6218, 0.6998, 0.8294], [0.6444, 0.3241, 0.8230], [0.6670, 0.6726, 0.1493], [0.6944, 0.0216, 0.8202], [0.8023, 0.8315, 0.9108], [0.8100, 0.1823, 0.2425], [0.8133, 0.5056, 0.0676], [0.8254, 0.1808, 0.7463], [0.8342, 0.5063, 0.5693], [0.8344, 0.8389, 0.4164], [0.9478, 0.0217, 0.3219], [0.9790, 0.6745, 0.6497], [0.3235, 0.3450, 0.0551], [0.3226, 0.3472, 0.5570], [0.3228, 0.6809, 0.3876], [0.3251, 0.6814, 0.8867], [0.8200, 0.8423, 0.0570], [0.8225, 0.1816, 0.3868], [0.8247, 0.8451, 0.5561], [0.8258, 0.1825, 0.8862], [0.3071, 0.6842, 0.5944], [0.3173, 0.0194, 0.9222], [0.3207, 0.3467, 0.7557], [0.3230, 0.0137, 0.4227], [0.3245, 0.0140, 0.2170], [0.3254, 0.0148, 0.7171], [0.3281, 0.3471, 0.2566], [0.3387, 0.6821, 0.0936], [0.8163, 0.5186, 0.9231], [0.8181, 0.8477, 0.7556], [0.8225, 0.5122, 0.2189], [0.8238, 0.5126, 0.7181], [0.8273, 0.1801, 0.5985], [0.8281, 0.8468, 0.2550], [0.8311, 0.5192, 0.4241], [0.8337, 0.1814, 0.0939], [0.0196, 0.6791, 0.4831], [0.0294, 0.3498, 0.1558], [0.0310, 0.0079, 0.8195], [0.1161, 0.5081, 0.3197], [0.1176, 0.8524, 0.6548], [0.1282, 0.1774, 0.9835], [0.1704, 0.4950, 0.6534], [0.1701, 0.8734, 0.3207], [0.1812, 0.1988, 0.6536], [0.1873, 0.1623, 0.3199], [0.4588, 0.1632, 0.8193], [0.4742, 0.8747, 0.8221], [0.4755, 0.1998, 0.1549], [0.4767, 0.4941, 0.1533], [0.5282, 0.8507, 0.1547], [0.5305, 0.5079, 0.8196], [0.6126, 0.0081, 0.3206], [0.6182, 0.3484, 0.6547], [0.6284, 0.6780, 0.9826], [0.6700, 0.3745, 0.3243], [0.6709, 0.6991, 0.6549], [0.6726, 0.9934, 0.6526], [0.6897, 0.6629, 0.3198], [0.9574, 0.6629, 0.8190], [0.9742, 0.9957, 0.1513], [0.9763, 0.3744, 0.8229], [0.9771, 0.6978, 0.1558], [0.1648, 0.5354, 0.9884], [0.1856, 0.8323, 0.9877], [0.4609, 0.8345, 0.4869], [0.4829, 0.5326, 0.4873], [0.5246, 0.1739, 0.4865], [0.6678, 0.0368, 0.9878], [0.6871, 0.3321, 0.9875], [0.9638, 0.3314, 0.4868], [0.9831, 0.0371, 0.4871], [0.9998, 0.5310, 0.9902], [0.0007, 0.5241, 0.6656], [0.0022, 0.1690, 0.0414], [0.0032, 0.4985, 0.3780], [0.0048, 0.5126, 0.2643], [0.0051, 0.8296, 0.7123], [0.0130, 0.1737, 0.3219], [0.0284, 0.8501, 0.9925], [0.0363, 0.8699, 0.5961], [0.0397, 0.1723, 0.9236], [0.1079, 0.6788, 0.4230], [0.1219, 0.3443, 0.4901], [0.1221, 0.3850, 0.1030], [0.1316, 0.6726, 0.8198], [0.1379, 0.9988, 0.8814], [0.1404, 0.3283, 0.2138], [0.1442, 0.0221, 0.1662], [0.1439, 0.6737, 0.5417], [0.1501, 0.0341, 0.4881], [0.1505, 0.0152, 0.7680], [0.1549, 0.6906, 0.1443], [0.1563, 0.3695, 0.8163], [0.1838, 0.4432, 0.5956], [0.2078, 0.4186, 0.3169], [0.2089, 0.2644, 0.7111], [0.2086, 0.5767, 0.9333], [0.2086, 0.5883, 0.0411], [0.2111, 0.9327, 0.3807], [0.2126, 0.7902, 0.9317], [0.2140, 0.7594, 0.6484], [0.2183, 0.0819, 0.9875], [0.2223, 0.5883, 0.3182], [0.2287, 0.1028, 0.6692], [0.2301, 0.1064, 0.2635], [0.2298, 0.4516, 0.9910], [0.2305, 0.9307, 0.2673], [0.2347, 0.2551, 0.9879], [0.2394, 0.7797, 0.0386], [0.2392, 0.9235, 0.6695], [0.2460, 0.7829, 0.3199], [0.2530, 0.2294, 0.5952], [0.2554, 0.4491, 0.7114], [0.2580, 0.1090, 0.3786], [0.2583, 0.5896, 0.6459], [0.2678, 0.9147, 0.9899], [0.2749, 0.2530, 0.3186], [0.3684, 0.2285, 0.1046], [0.3715, 0.2538, 0.8166], [0.3782, 0.9184, 0.4878], [0.3872, 0.1133, 0.8796], [0.3884, 0.5885, 0.1463], [0.3917, 0.4476, 0.2118], [0.4003, 0.7831, 0.5370], [0.4001, 0.7831, 0.8209], [0.4066, 0.9223, 0.1700], [0.4135, 0.1031, 0.7661], [0.4141, 0.9287, 0.7671], [0.4204, 0.1033, 0.1706], [0.4208, 0.4475, 0.4884], [0.4255, 0.5886, 0.8183], [0.4275, 0.2469, 0.4899], [0.4308, 0.7935, 0.4302], [0.4333, 0.7587, 0.1479], [0.4336, 0.9342, 0.8812], [0.4352, 0.0926, 0.4875], [0.4386, 0.4190, 0.8165], [0.4390, 0.5739, 0.4320], [0.4388, 0.5838, 0.5399], [0.4443, 0.2633, 0.2145], [0.4645, 0.4413, 0.0962], [0.4894, 0.3704, 0.3177], [0.4928, 0.6916, 0.6424], [0.4960, 0.0162, 0.2679], [0.5017, 0.9977, 0.3807], [0.5028, 0.6731, 0.0416], [0.5045, 0.0284, 0.9894], [0.5047, 0.0189, 0.6686], [0.5087, 0.3307, 0.7132], [0.5155, 0.6729, 0.3205], [0.5278, 0.3840, 0.6013], [0.5308, 0.3467, 0.9936], [0.5407, 0.6794, 0.9225], [0.6019, 0.1772, 0.4294], [0.6097, 0.8727, 0.0964], [0.6166, 0.8496, 0.4919], [0.6306, 0.1690, 0.5362], [0.6324, 0.1744, 0.8212], [0.6411, 0.8293, 0.2120], [0.6426, 0.5129, 0.7643], [0.6438, 0.4984, 0.8780], [0.6452, 0.5236, 0.1671], [0.6487, 0.5286, 0.4886], [0.6539, 0.1962, 0.1432], [0.6551, 0.8702, 0.8181], [0.6823, 0.9419, 0.5948], [0.7022, 0.7624, 0.7139], [0.7074, 0.9209, 0.3148], [0.7090, 0.4330, 0.3822], [0.7107, 0.0756, 0.9315], [0.7109, 0.0922, 0.0386], [0.7143, 0.2907, 0.9308], [0.7152, 0.0902, 0.3216], [0.7166, 0.2608, 0.6421], [0.7195, 0.5841, 0.9847], [0.7208, 0.6002, 0.6688], [0.7315, 0.4287, 0.2682], [0.7373, 0.6063, 0.2639], [0.7382, 0.7545, 0.9888], [0.7391, 0.4218, 0.6699], [0.7402, 0.2815, 0.3217], [0.7421, 0.9549, 0.9919], [0.7469, 0.2794, 0.0375], [0.7541, 0.9466, 0.7114], [0.7588, 0.0889, 0.6441], [0.7597, 0.6118, 0.3785], [0.7708, 0.4140, 0.9888], [0.7739, 0.7546, 0.3169], [0.7767, 0.7274, 0.6041], [0.8714, 0.7274, 0.1053], [0.8710, 0.7537, 0.8175], [0.8835, 0.4142, 0.4886], [0.8884, 0.6109, 0.8780], [0.8906, 0.0912, 0.1469], [0.8960, 0.9431, 0.2079], [0.9013, 0.2832, 0.8195], [0.9055, 0.2792, 0.5371], [0.9072, 0.4219, 0.1704], [0.9092, 0.6071, 0.7629], [0.9085, 0.7548, 0.4881], [0.9172, 0.4310, 0.7676], [0.9233, 0.0876, 0.8188], [0.9225, 0.9529, 0.4913], [0.9248, 0.5996, 0.1693], [0.9277, 0.5847, 0.4847], [0.9314, 0.2902, 0.4302], [0.9375, 0.4328, 0.8816], [0.9378, 0.0933, 0.5371], [0.9383, 0.2596, 0.1455], [0.9398, 0.0749, 0.4304], [0.9397, 0.9187, 0.8159], [0.9442, 0.7613, 0.2146], [0.9645, 0.9492, 0.0907], [0.9902, 0.8710, 0.3172], [0.9946, 0.1938, 0.6456]]}

***

Entry 2:
{"formula": "CeAl4Co", "functional": "GGA-PBE", "state": "optimized geometry", "energy_ev_per_cell": -62.0, "crystal_system": "orthorhombic", "e_form_ev_per_atom": -0.494, "lattice": [[7.6149, 0.0000, 0.0000], [0.0000, 4.0454, 0.0000], [0.0000, 0.0000, 6.8212]], "species": ["Ce", "Ce", "Al", "Al", "Al", "Al", "Al", "Al", "Al", "Al", "Co", "Co"], "fractional_positions": [[0.2500, 0.0000, 0.1155], [0.7500, 0.0000, 0.8845], [0.0000, 0.0000, 0.5000], [0.0690, 0.5000, 0.8021], [0.2500, 0.5000, 0.4551], [0.4310, 0.5000, 0.8021], [0.5000, 0.0000, 0.5000], [0.5690, 0.5000, 0.1979], [0.7500, 0.5000, 0.5449], [0.9310, 0.5000, 0.1979], [0.2500, 0.0000, 0.6936], [0.7500, 0.0000, 0.3064]]}

***

Entry 3:
{"formula": "EuCd3", "functional": "GGA-PBE", "state": "optimized geometry", "energy_ev_per_cell": -14.1, "crystal_system": "cubic", "e_form_ev_per_atom": -0.275, "lattice": [[0.0000, 3.7052, 3.7052], [3.7052, 0.0000, 3.7052], [3.7052, 3.7052, 0.0000]], "species": ["Eu", "Cd", "Cd", "Cd"], "fractional_positions": [[0.0000, 0.0000, 0.0000], [0.2500, 0.2500, 0.2500], [0.5000, 0.5000, 0.5000], [0.7500, 0.7500, 0.7500]]}

***

Repeat the third record exactly.
{"formula": "EuCd3", "functional": "GGA-PBE", "state": "optimized geometry", "energy_ev_per_cell": -14.1, "crystal_system": "cubic", "e_form_ev_per_atom": -0.275, "lattice": [[0.0000, 3.7052, 3.7052], [3.7052, 0.0000, 3.7052], [3.7052, 3.7052, 0.0000]], "species": ["Eu", "Cd", "Cd", "Cd"], "fractional_positions": [[0.0000, 0.0000, 0.0000], [0.2500, 0.2500, 0.2500], [0.5000, 0.5000, 0.5000], [0.7500, 0.7500, 0.7500]]}

***

Please write out number 2 again, unchanged.
{"formula": "CeAl4Co", "functional": "GGA-PBE", "state": "optimized geometry", "energy_ev_per_cell": -62.0, "crystal_system": "orthorhombic", "e_form_ev_per_atom": -0.494, "lattice": [[7.6149, 0.0000, 0.0000], [0.0000, 4.0454, 0.0000], [0.0000, 0.0000, 6.8212]], "species": ["Ce", "Ce", "Al", "Al", "Al", "Al", "Al", "Al", "Al", "Al", "Co", "Co"], "fractional_positions": [[0.2500, 0.0000, 0.1155], [0.7500, 0.0000, 0.8845], [0.0000, 0.0000, 0.5000], [0.0690, 0.5000, 0.8021], [0.2500, 0.5000, 0.4551], [0.4310, 0.5000, 0.8021], [0.5000, 0.0000, 0.5000], [0.5690, 0.5000, 0.1979], [0.7500, 0.5000, 0.5449], [0.9310, 0.5000, 0.1979], [0.2500, 0.0000, 0.6936], [0.7500, 0.0000, 0.3064]]}